# SrP2O6 meta-GGA r2SCAN optimized geometry
# - E: -374.94 eV/cell
data_SrP2O6
_symmetry_space_group_name_H-M 'P 1 21/c 1'
_symmetry_Int_Tables_number 14
_cell_length_a 4.4949
_cell_length_b 10.9309
_cell_length_c 10.3885
_cell_angle_alpha 90.00
_cell_angle_beta 91.61
_cell_angle_gamma 90.00
loop_
_symmetry_equiv_pos_as_xyz
'x,y,z'
'-x,-y,-z'
'-x,y+1/2,-z+1/2'
'x,-y+1/2,z+1/2'
loop_
_atom_site_label
_atom_site_fract_x
_atom_site_fract_y
_atom_site_fract_z
_atom_site_occupancy
Sr1 0.0307 0.1919 0.0142 1
P1 0.0698 0.5133 0.7837 1
P2 0.4357 0.6509 0.2064 1
O1 0.0181 0.1216 0.6432 1
O2 0.0415 0.5147 0.6401 1
O3 0.1019 0.6095 0.1691 1
O4 0.3942 0.0274 0.3308 1
O5 0.4694 0.6724 0.3473 1
O6 0.4984 0.2501 0.3864 1

# Sr2P6O17 meta-GGA r2SCAN optimized geometry
# - E: -501.59 eV/cell
data_Sr2P6O17
_symmetry_space_group_name_H-M 'P 1 21 1'
_symmetry_Int_Tables_number 4
_cell_length_a 7.1657
_cell_length_b 13.2868
_cell_length_c 7.1790
_cell_angle_alpha 90.00
_cell_angle_beta 105.33
_cell_angle_gamma 90.00
loop_
_symmetry_equiv_pos_as_xyz
'x,y,z'
'-x,y+1/2,-z'
loop_
_atom_site_label
_atom_site_fract_x
_atom_site_fract_y
_atom_site_fract_z
_atom_site_occupancy
Sr1 0.1900 0.0000 0.3790 1
Sr2 0.2144 0.2860 0.6702 1
P1 0.0138 0.2203 0.1026 1
P2 0.2443 0.5407 0.0215 1
P3 0.2588 0.5083 0.4455 1
P4 0.3192 0.7300 0.4986 1
P5 0.3223 0.0339 0.8819 1
P6 0.3403 0.8193 0.8846 1
O1 0.0786 0.1798 0.3019 1
O2 0.0925 0.4478 0.4688 1
O3 0.1242 0.8154 0.8920 1
O4 0.1474 0.2490 0.9893 1
O5 0.1475 0.4758 0.8604 1
O6 0.1517 0.6460 0.0286 1
O7 0.1709 0.8071 0.4120 1
O8 0.2081 0.6240 0.4630 1
O9 0.2246 0.0213 0.0361 1
O10 0.2445 0.0969 0.7088 1
O11 0.2573 0.4944 0.2216 1
O12 0.3511 0.9245 0.7867 1
O13 0.3634 0.7394 0.7337 1
O14 0.4553 0.4827 0.5624 1
O15 0.4570 0.5657 0.0199 1
O16 0.4796 0.8081 0.0715 1
O17 0.4925 0.2239 0.5448 1